Computed, not measured: a relaxed structure of Na4Si23 at the meta-GGA r2SCAN level of DFT.

Computed properties:
- Mass density: 2319 kg/m3
- ΔH_f (0 K): 0.006 eV per atom
- VASP energy: -431.801 eV per cell
- Symmetry: Pm-3n, No. 223

Cell: 10.1852 10.1852 10.1852 Å, 90.00 90.00 90.00°
Closest atoms and distances in Å follow each position.
Element x y z (fractional)
Na1 0.0000 0.0000 0.0000  20 Si 3.25-3.35
Na2 0.0000 0.2500 0.5000  20 Si 3.43-3.78
Na3 0.0000 0.7500 0.5000  20 Si 3.43-3.78
Na4 0.2500 0.5000 0.0000  20 Si 3.43-3.78
Na5 0.5000 0.0000 0.2500  20 Si 3.43-3.78
Na6 0.5000 0.0000 0.7500  20 Si 3.43-3.78
Na7 0.5000 0.5000 0.5000  20 Si 3.25-3.35
Na8 0.7500 0.5000 0.0000  20 Si 3.43-3.78
Si1 0.0000 0.3077 0.1171  4 Si 2.36-2.38
Si2 0.0000 0.3077 0.8829  4 Si 2.36-2.38
Si3 0.0000 0.5000 0.2500  4 Si 2.38
Si4 0.0000 0.5000 0.7500  4 Si 2.38
Si5 0.0000 0.6923 0.1171  4 Si 2.36-2.38
Si6 0.0000 0.6923 0.8829  4 Si 2.36-2.38
Si7 0.1171 0.0000 0.3077  4 Si 2.36-2.38
Si8 0.1171 0.0000 0.6923  4 Si 2.36-2.38
Si9 0.1842 0.1842 0.1842  4 Si 2.32-2.36
Si10 0.1842 0.1842 0.8158  4 Si 2.32-2.36
Si11 0.1842 0.8158 0.1842  4 Si 2.32-2.36
Si12 0.1842 0.8158 0.8158  4 Si 2.32-2.36
Si13 0.1923 0.5000 0.3829  4 Si 2.36-2.38
Si14 0.1923 0.5000 0.6171  4 Si 2.36-2.38
Si15 0.2500 0.0000 0.5000  4 Si 2.38
Si16 0.3077 0.1171 0.0000  4 Si 2.36-2.38
Si17 0.3077 0.8829 0.0000  4 Si 2.36-2.38
Si18 0.3158 0.3158 0.3158  4 Si 2.32-2.36
Si19 0.3158 0.3158 0.6842  4 Si 2.32-2.36
Si20 0.3158 0.6842 0.3158  4 Si 2.32-2.36
Si21 0.3158 0.6842 0.6842  4 Si 2.32-2.36
Si22 0.3829 0.1923 0.5000  4 Si 2.36-2.38
Si23 0.3829 0.8077 0.5000  4 Si 2.36-2.38
Si24 0.5000 0.2500 0.0000  4 Si 2.38
Si25 0.5000 0.3829 0.1923  4 Si 2.36-2.38
Si26 0.5000 0.3829 0.8077  4 Si 2.36-2.38
Si27 0.5000 0.6171 0.1923  4 Si 2.36-2.38
Si28 0.5000 0.6171 0.8077  4 Si 2.36-2.38
Si29 0.5000 0.7500 0.0000  4 Si 2.38
Si30 0.6171 0.1923 0.5000  4 Si 2.36-2.38
Si31 0.6171 0.8077 0.5000  4 Si 2.36-2.38
Si32 0.6842 0.3158 0.3158  4 Si 2.32-2.36
Si33 0.6842 0.3158 0.6842  4 Si 2.32-2.36
Si34 0.6842 0.6842 0.3158  4 Si 2.32-2.36
Si35 0.6842 0.6842 0.6842  4 Si 2.32-2.36
Si36 0.6923 0.1171 0.0000  4 Si 2.36-2.38
Si37 0.6923 0.8829 0.0000  4 Si 2.36-2.38
Si38 0.7500 0.0000 0.5000  4 Si 2.38
Si39 0.8077 0.5000 0.3829  4 Si 2.36-2.38
Si40 0.8077 0.5000 0.6171  4 Si 2.36-2.38
Si41 0.8158 0.1842 0.1842  4 Si 2.32-2.36
Si42 0.8158 0.1842 0.8158  4 Si 2.32-2.36
Si43 0.8158 0.8158 0.1842  4 Si 2.32-2.36
Si44 0.8158 0.8158 0.8158  4 Si 2.32-2.36
Si45 0.8829 0.0000 0.3077  4 Si 2.36-2.38
Si46 0.8829 0.0000 0.6923  4 Si 2.36-2.38


Computed, not measured: a relaxed structure of Na5Si34 at the meta-GGA r2SCAN level of DFT.

Computed properties:
- Mass density: 2241 kg/m3
- ΔH_f (0 K): 0.013 eV per atom
- VASP energy: -315.606 eV per cell
- Symmetry: R-3m, No. 166

Cell: 10.3833 10.3833 10.3833 Å, 60.06 60.06 60.06°
Closest atoms and distances in Å follow each position.
Element x y z (fractional)
Na1 0.0000 0.5000 0.5000  20 Si 3.19-3.37
Na2 0.1250 0.1250 0.1250  28 Si 3.91-4.00
Na3 0.5000 0.0000 0.5000  20 Si 3.19-3.37
Na4 0.5000 0.5000 0.0000  20 Si 3.19-3.37
Na5 0.8750 0.8750 0.8750  28 Si 3.91-4.00
Si1 0.1285 0.1285 0.5057  4 Si 2.35-2.40
Si2 0.1285 0.5057 0.1285  4 Si 2.35-2.40
Si3 0.1293 0.1293 0.7363  4 Si 2.36-2.40
Si4 0.1289 0.5060 0.7363  4 Si 2.35-2.39
Si5 0.1293 0.7363 0.1293  4 Si 2.36-2.40
Si6 0.1289 0.7363 0.5060  4 Si 2.35-2.39
Si7 0.2637 0.4940 0.8711  4 Si 2.35-2.39
Si8 0.2637 0.8711 0.4940  4 Si 2.35-2.39
Si9 0.2637 0.8707 0.8707  4 Si 2.36-2.40
Si10 0.2825 0.2825 0.2825  4 Si 2.36-2.37
Si11 0.2825 0.2825 0.6535  4 Si 2.36-2.37
Si12 0.2825 0.6535 0.2825  4 Si 2.36-2.37
Si13 0.3465 0.7175 0.7176  4 Si 2.36-2.37
Si14 0.3754 0.3754 0.3754  4 Si 2.36
Si15 0.4940 0.2637 0.8711  4 Si 2.35-2.39
Si16 0.4940 0.8711 0.2637  4 Si 2.35-2.39
Si17 0.4943 0.8715 0.8715  4 Si 2.35-2.40
Si18 0.5057 0.1285 0.1285  4 Si 2.35-2.40
Si19 0.5060 0.1289 0.7363  4 Si 2.35-2.39
Si20 0.5060 0.7363 0.1289  4 Si 2.35-2.39
Si21 0.6246 0.6246 0.6246  4 Si 2.36
Si22 0.6535 0.2825 0.2825  4 Si 2.36-2.37
Si23 0.7175 0.3465 0.7175  4 Si 2.36-2.37
Si24 0.7175 0.7175 0.3465  4 Si 2.36-2.37
Si25 0.7175 0.7175 0.7175  4 Si 2.36-2.37
Si26 0.7363 0.1293 0.1293  4 Si 2.36-2.40
Si27 0.7363 0.1289 0.5060  4 Si 2.35-2.39
Si28 0.7363 0.5060 0.1289  4 Si 2.35-2.39
Si29 0.8711 0.2637 0.4940  4 Si 2.35-2.39
Si30 0.8707 0.2637 0.8707  4 Si 2.36-2.40
Si31 0.8711 0.4940 0.2637  4 Si 2.35-2.39
Si32 0.8707 0.8707 0.2637  4 Si 2.36-2.40
Si33 0.8715 0.4943 0.8715  4 Si 2.35-2.40
Si34 0.8715 0.8715 0.4943  4 Si 2.35-2.40


Computed, not measured: a relaxed structure of Na4Si2Te5 at the meta-GGA r2SCAN level of DFT.

Computed properties:
- Mass density: 3862 kg/m3
- ΔH_f (0 K): -0.746 eV per atom
- VASP energy: -1336.765 eV per cell
- Symmetry: P2_1/c, No. 14

Cell: 14.1181 12.8343 14.9307 Å, 90.00 91.79 90.00°
Closest atoms and distances in Å follow each position.
Element x y z (fractional)
Na1 0.0073 0.0942 0.2711  5 Te 3.18-3.30
Na2 0.0073 0.4058 0.7711  5 Te 3.18-3.30
Na3 0.0782 0.1356 0.9262  5 Te 3.15-3.30
Na4 0.0782 0.3644 0.4262  5 Te 3.15-3.30
Na5 0.1156 0.6346 0.9654  6 Te 3.21-3.48
Na6 0.1156 0.8654 0.4654  6 Te 3.21-3.48
Na7 0.2102 0.1413 0.6525  6 Te 3.15-3.49
Na8 0.2102 0.3587 0.1525  6 Te 3.15-3.49
Na9 0.3016 0.5902 0.3602  5 Te 3.10-3.42
Na10 0.3016 0.9098 0.8602  5 Te 3.10-3.42
Na11 0.4027 0.6220 0.0603  5 Te 3.16-3.26
Na12 0.4027 0.8780 0.5603  5 Te 3.16-3.26
Na13 0.4042 0.1228 0.0491  6 Te 3.21-3.34
Na14 0.4042 0.3772 0.5491  6 Te 3.21-3.34
Na15 0.4893 0.1544 0.7652  5 Te 3.17-3.30
Na16 0.4893 0.3456 0.2652  5 Te 3.17-3.30
Na17 0.5107 0.6544 0.7348  5 Te 3.17-3.30
Na18 0.5107 0.8456 0.2348  5 Te 3.17-3.30
Na19 0.5958 0.6228 0.4509  6 Te 3.21-3.34
Na20 0.5958 0.8772 0.9509  6 Te 3.21-3.34
Na21 0.5973 0.1220 0.4397  5 Te 3.16-3.26
Na22 0.5973 0.3780 0.9397  5 Te 3.16-3.26
Na23 0.6984 0.0902 0.1398  5 Te 3.10-3.42
Na24 0.6984 0.4098 0.6398  5 Te 3.10-3.42
Na25 0.7898 0.6413 0.8475  6 Te 3.15-3.49
Na26 0.7898 0.8587 0.3475  6 Te 3.15-3.49
Na27 0.8844 0.1346 0.5346  6 Te 3.21-3.48
Na28 0.8844 0.3654 0.0346  6 Te 3.21-3.48
Na29 0.9218 0.6356 0.5738  5 Te 3.15-3.30
Na30 0.9218 0.8644 0.0738  5 Te 3.15-3.30
Na31 0.9927 0.5942 0.2289  5 Te 3.18-3.30
Na32 0.9927 0.9058 0.7289  5 Te 3.18-3.30
Si1 0.1808 0.6930 0.7140  1 Si 2.35, 3 Te 2.49-2.60
Si2 0.1808 0.8070 0.2140  1 Si 2.35, 3 Te 2.49-2.60
Si3 0.2224 0.5909 0.5910  1 Si 2.35, 3 Te 2.47-2.59
Si4 0.2224 0.9091 0.0910  1 Si 2.35, 3 Te 2.47-2.59
Si5 0.2790 0.1611 0.4136  1 Si 2.36, 3 Te 2.50-2.51
Si6 0.2790 0.3389 0.9136  1 Si 2.36, 3 Te 2.50-2.51
Si7 0.3247 0.0587 0.2913  1 Si 2.36, 3 Te 2.49-2.58
Si8 0.3247 0.4413 0.7913  1 Si 2.36, 3 Te 2.49-2.58
Si9 0.6753 0.5587 0.2087  1 Si 2.36, 3 Te 2.49-2.58
Si10 0.6753 0.9413 0.7087  1 Si 2.36, 3 Te 2.49-2.58
Si11 0.7210 0.6611 0.0864  1 Si 2.36, 3 Te 2.50-2.51
Si12 0.7210 0.8389 0.5864  1 Si 2.36, 3 Te 2.50-2.51
Si13 0.7776 0.0909 0.9090  1 Si 2.35, 3 Te 2.47-2.59
Si14 0.7776 0.4091 0.4090  1 Si 2.35, 3 Te 2.47-2.59
Si15 0.8192 0.1930 0.7860  1 Si 2.35, 3 Te 2.49-2.60
Si16 0.8192 0.3070 0.2860  1 Si 2.35, 3 Te 2.49-2.60
Te1 0.0184 0.6575 0.7662  1 Si 2.49
Te2 0.0184 0.8425 0.2662  1 Si 2.49
Te3 0.1088 0.6156 0.4633  1 Si 2.47
Te4 0.1088 0.8844 0.9633  1 Si 2.47
Te5 0.1150 0.1164 0.4603  1 Si 2.50
Te6 0.1150 0.3836 0.9603  1 Si 2.50
Te7 0.2062 0.0928 0.1606  2 Si 2.57-2.59
Te8 0.2062 0.4072 0.6606  2 Si 2.57-2.59
Te9 0.2067 0.6218 0.1693  1 Si 2.50
Te10 0.2067 0.8782 0.6693  1 Si 2.50
Te11 0.2877 0.1564 0.8532  1 Si 2.51
Te12 0.2877 0.3436 0.3532  1 Si 2.51
Te13 0.3063 0.6344 0.8352  2 Si 2.58-2.60
Te14 0.3063 0.8656 0.3352  2 Si 2.58-2.60
Te15 0.3887 0.6284 0.5504  1 Si 2.49
Te16 0.3887 0.8716 0.0504  1 Si 2.49
Te17 0.3966 0.1278 0.5391  1 Si 2.50
Te18 0.3966 0.3723 0.0391  1 Si 2.50
Te19 0.4908 0.0967 0.2516  1 Si 2.49
Te20 0.4908 0.4033 0.7516  1 Si 2.49
Te21 0.5092 0.5967 0.2484  1 Si 2.49
Te22 0.5092 0.9033 0.7484  1 Si 2.49
Te23 0.6034 0.6278 0.9609  1 Si 2.50
Te24 0.6034 0.8722 0.4609  1 Si 2.50
Te25 0.6113 0.1284 0.9496  1 Si 2.49
Te26 0.6113 0.3716 0.4496  1 Si 2.49
Te27 0.6937 0.1344 0.6648  2 Si 2.58-2.60
Te28 0.6937 0.3656 0.1648  2 Si 2.58-2.60
Te29 0.7123 0.6564 0.6468  1 Si 2.51
Te30 0.7123 0.8436 0.1468  1 Si 2.51
Te31 0.7933 0.1218 0.3307  1 Si 2.50
Te32 0.7933 0.3782 0.8307  1 Si 2.50
Te33 0.7938 0.5928 0.3394  2 Si 2.57-2.59
Te34 0.7938 0.9072 0.8394  2 Si 2.57-2.59
Te35 0.8850 0.6164 0.0397  1 Si 2.50
Te36 0.8850 0.8836 0.5397  1 Si 2.50
Te37 0.8912 0.1156 0.0367  1 Si 2.47
Te38 0.8912 0.3844 0.5367  1 Si 2.47
Te39 0.9816 0.1575 0.7338  1 Si 2.49
Te40 0.9816 0.3425 0.2338  1 Si 2.49


Computed, not measured: a relaxed structure of NaSmTe2 at the meta-GGA r2SCAN level of DFT.

Computed properties:
- Mass density: 5426 kg/m3
- ΔH_f (0 K): -1.589 eV per atom
- VASP energy: -90.489 eV per cell
- Symmetry: R-3m, No. 166

Cell: 7.9337 7.9337 7.9337 Å, 32.91 32.91 32.91°
Closest atoms and distances in Å follow each position.
Element x y z (fractional)
Na1 0.0000 0.0000 0.0000  6 Te 3.25
Sm1 0.5000 0.5000 0.5000  6 Te 3.15
Te1 0.2461 0.2461 0.2461  3 Sm 3.15, 3 Na 3.25
Te2 0.7539 0.7539 0.7539  3 Sm 3.15, 3 Na 3.25


Computed, not measured: a relaxed structure of Na3Sn at the meta-GGA r2SCAN level of DFT.

Computed properties:
- Mass density: 2834 kg/m3
- ΔH_f (0 K): -0.189 eV per atom
- VASP energy: -36.194 eV per cell
- Symmetry: I4/mmm, No. 139

Cell: 5.7760 5.7760 5.7760 Å, 130.13 130.13 73.19°
Closest atoms and distances in Å follow each position.
Element x y z (fractional)
Na1 0.0000 0.0000 0.0000  8 Na 3.36, 4 Sn 3.44
Na2 0.2500 0.7500 0.5000  4 Sn 3.36, 8 Na 3.36-3.44
Na3 0.7500 0.2500 0.5000  4 Sn 3.36, 8 Na 3.36-3.44
Sn1 0.5000 0.5000 0.0000  12 Na 3.36-3.44


Computed, not measured: a relaxed structure of Na3Sn at the meta-GGA r2SCAN level of DFT.

Computed properties:
- Mass density: 2854 kg/m3
- ΔH_f (0 K): -0.181 eV per atom
- VASP energy: -36.162 eV per cell
- Symmetry: Fm-3m, No. 225

Cell: 5.3654 5.3654 5.3654 Å, 60.00 60.00 60.00°
Closest atoms and distances in Å follow each position.
Element x y z (fractional)
Na1 0.0000 0.0000 0.0000  8 Na 3.29
Na2 0.2500 0.2500 0.2500  4 Sn 3.29, 4 Na 3.29
Na3 0.7500 0.7500 0.7500  4 Sn 3.29, 4 Na 3.29
Sn1 0.5000 0.5000 0.5000  8 Na 3.29


Computed, not measured: a relaxed structure of NaSn5 at the meta-GGA r2SCAN level of DFT.

Computed properties:
- Mass density: 5695 kg/m3
- ΔH_f (0 K): -0.072 eV per atom
- VASP energy: -255.453 eV per cell
- Symmetry: P-42_1m, No. 113

Cell: 6.3521 6.3521 8.9107 Å, 90.00 90.00 90.00°
Closest atoms and distances in Å follow each position.
Element x y z (fractional)
Na1 0.0000 0.5000 0.2106  6 Sn 3.09-3.42
Na2 0.5000 0.0000 0.7894  6 Sn 3.09-3.42
Sn1 0.0000 0.0000 0.0000  4 Sn 2.89
Sn2 0.1574 0.3426 0.8190  4 Sn 2.83-2.91, 1 Na 3.09
Sn3 0.2448 0.2552 0.5046  5 Sn 2.91-3.18
Sn4 0.2552 0.7552 0.4954  5 Sn 2.91-3.18
Sn5 0.3426 0.8426 0.1810  4 Sn 2.83-2.91, 1 Na 3.09
Sn6 0.5000 0.5000 0.0000  4 Sn 2.89
Sn7 0.6574 0.1574 0.1810  4 Sn 2.83-2.91, 1 Na 3.09
Sn8 0.7448 0.2448 0.4954  5 Sn 2.91-3.18
Sn9 0.7552 0.7448 0.5046  5 Sn 2.91-3.18
Sn10 0.8426 0.6574 0.8190  4 Sn 2.83-2.91, 1 Na 3.09